This record from Materials Project describes Hf2InPd2 after structural relaxation. The functional is PBE.

Geometry as extended XYZ:
```
10
Lattice="7.528 0.000 0.000 0.000 7.528 0.000 0.000 0.000 3.401" Properties=species:S:1:pos:R:3 pbc="T T T"
Hf 1.266 2.498 0.000
Hf 6.261 5.030 0.000
Hf 5.030 1.266 0.000
Hf 2.498 6.261 0.000
In 0.000 0.000 1.700
In 3.764 3.764 1.700
Pd 2.787 0.977 1.700
Pd 4.740 6.551 1.700
Pd 6.551 2.787 1.700
Pd 0.977 4.740 1.700
```

Calculated values
calculated formation energy	-635	meV per atom